UH12C6N3O8 GGA-PBE relaxed; calculated total energy = -6.64 eV per atom; calculated formation energy = -1.0907 eV per atom
1.0
-7.136 -3.801 -4.766
-2.689 -8.547 10.843
-1.247 10.322 7.827
U H C N O
4 48 24 12 32
direct
0.594 0.276 0.007 U
0.594 0.224 0.507 U
0.406 0.724 0.993 U
0.406 0.776 0.493 U
0.063 0.076 0.318 H
0.063 0.424 0.818 H
0.937 0.924 0.682 H
0.937 0.576 0.182 H
0.970 0.119 0.398 H
0.970 0.381 0.898 H
0.030 0.881 0.602 H
0.030 0.619 0.102 H
0.125 0.190 0.394 H
0.125 0.310 0.894 H
0.875 0.810 0.606 H
0.875 0.690 0.106 H
0.124 0.101 0.659 H
0.124 0.399 0.159 H
0.876 0.899 0.341 H
0.876 0.601 0.841 H
0.290 0.013 0.725 H
0.290 0.487 0.225 H
0.710 0.987 0.275 H
0.710 0.513 0.775 H
0.279 0.101 0.621 H
0.279 0.399 0.121 H
0.721 0.899 0.379 H
0.721 0.601 0.879 H
0.973 0.411 0.327 H
0.973 0.089 0.827 H
0.027 0.589 0.673 H
0.027 0.911 0.173 H
0.133 0.499 0.381 H
0.133 0.001 0.881 H
0.867 0.501 0.619 H
0.867 0.999 0.119 H
0.360 0.504 0.588 H
0.360 0.996 0.088 H
0.640 0.496 0.412 H
0.640 0.004 0.912 H
0.357 0.427 0.693 H
0.357 0.073 0.193 H
0.643 0.573 0.307 H
0.643 0.927 0.807 H
0.975 0.309 0.472 H
0.975 0.191 0.972 H
0.025 0.691 0.528 H
0.025 0.809 0.028 H
0.151 0.310 0.625 H
0.151 0.190 0.125 H
0.849 0.690 0.375 H
0.849 0.810 0.875 H
0.875 0.186 0.226 C
0.875 0.314 0.726 C
0.125 0.814 0.774 C
0.125 0.686 0.274 C
0.371 0.153 0.800 C
0.371 0.347 0.300 C
0.629 0.847 0.200 C
0.629 0.653 0.700 C
0.429 0.496 0.931 C
0.429 0.004 0.431 C
0.571 0.504 0.069 C
0.571 0.996 0.569 C
0.019 0.140 0.341 C
0.019 0.360 0.841 C
0.981 0.860 0.659 C
0.981 0.640 0.159 C
0.259 0.087 0.695 C
0.259 0.413 0.195 C
0.741 0.913 0.305 C
0.741 0.587 0.805 C
0.157 0.410 0.513 C
0.157 0.090 0.013 C
0.843 0.590 0.487 C
0.843 0.910 0.987 C
0.081 0.443 0.398 N
0.081 0.057 0.898 N
0.919 0.557 0.602 N
0.919 0.943 0.102 N
0.304 0.449 0.604 N
0.304 0.051 0.104 N
0.696 0.551 0.396 N
0.696 0.949 0.896 N
0.086 0.340 0.539 N
0.086 0.160 0.039 N
0.914 0.660 0.461 N
0.914 0.840 0.961 N
0.454 0.261 0.061 O
0.454 0.239 0.561 O
0.546 0.739 0.939 O
0.546 0.761 0.439 O
0.734 0.293 0.954 O
0.734 0.207 0.454 O
0.266 0.707 0.046 O
0.266 0.793 0.546 O
0.773 0.136 0.131 O
0.773 0.364 0.631 O
0.227 0.864 0.869 O
0.227 0.636 0.369 O
0.849 0.276 0.222 O
0.849 0.224 0.722 O
0.151 0.724 0.778 O
0.151 0.776 0.278 O
0.336 0.242 0.793 O
0.336 0.258 0.293 O
0.664 0.758 0.207 O
0.664 0.742 0.707 O
0.506 0.122 0.898 O
0.506 0.378 0.398 O
0.494 0.878 0.102 O
0.494 0.622 0.602 O
0.331 0.566 0.881 O
0.331 0.934 0.381 O
0.669 0.434 0.119 O
0.669 0.066 0.619 O
0.422 0.417 0.880 O
0.422 0.083 0.380 O
0.578 0.583 0.120 O
0.578 0.917 0.620 O